No. 1
AlH3O3 after structural relaxation, computed with PBE-GGA.

Cell: 5.214 9.025 13.030 Å, 47.33 90.00 90.00°
Sites, in units of the cell vectors:
1 O 0.928 0.074 0.617
2 O 0.427 0.204 0.618
3 O 0.123 0.387 0.117
4 O 0.442 0.279 0.908
5 O 0.053 0.406 0.403
6 O 0.063 0.700 0.119
7 O 0.376 0.890 0.617
8 O 0.937 0.700 0.619
9 O 0.877 0.387 0.617
10 O 0.947 0.406 0.903
11 O 0.573 0.204 0.118
12 O 0.072 0.074 0.117
13 O 0.436 0.573 0.619
14 O 0.424 0.909 0.912
15 O 0.576 0.909 0.412
16 O 0.391 0.593 0.909
17 O 0.558 0.279 0.408
18 O 0.875 0.091 0.905
19 O 0.070 0.770 0.410
20 O 0.624 0.890 0.117
21 O 0.564 0.573 0.119
22 O 0.930 0.770 0.910
23 O 0.609 0.593 0.409
24 O 0.125 0.091 0.405
25 H 0.645 0.156 0.444
26 H 0.588 0.117 0.220
27 H 0.573 0.460 0.222
28 H 0.650 0.937 0.467
29 H 0.889 0.284 0.720
30 H 0.090 0.956 0.218
31 H 0.355 0.156 0.944
32 H 0.942 0.596 0.722
33 H 0.060 0.084 0.904
34 H 0.350 0.937 0.967
35 H 0.150 0.639 0.458
36 H 0.557 0.548 0.957
37 H 0.427 0.460 0.722
38 H 0.153 0.500 0.400
39 H 0.592 0.790 0.219
40 H 0.412 0.117 0.720
41 H 0.408 0.790 0.719
42 H 0.847 0.500 0.900
43 H 0.058 0.596 0.222
44 H 0.111 0.284 0.220
45 H 0.910 0.956 0.718
46 H 0.850 0.639 0.958
47 H 0.940 0.084 0.404
48 H 0.443 0.548 0.457
49 Al 0.744 0.315 0.522
50 Al 0.248 0.814 0.522
51 Al 0.750 0.647 0.523
52 Al 0.241 0.148 0.523
53 Al 0.256 0.315 0.022
54 Al 0.759 0.148 0.023
55 Al 0.752 0.814 0.022
56 Al 0.250 0.647 0.023

Calculated values
formation energy from the elements: -1.9849 eV per atom
space-group type: Pc
mass density: 2.3 g/cm3
energy above the lowest structure with this stoichiometry: 59.4 meV/atom
maximum piezoelectric response: 1.44 C/m²



No. 2
AlH3O3 after structural relaxation, computed with PBE-GGA.

Cell: 5.063 5.147 5.597 Å, 64.62 64.61 61.44°
Sites, in units of the cell vectors:
1 H 0.893 0.136 0.229
2 H 0.503 0.154 0.595
3 H 0.153 0.625 0.367
4 H 0.497 0.846 0.405
5 H 0.847 0.375 0.633
6 H 0.107 0.864 0.771
7 O 0.566 0.936 0.207
8 O 0.434 0.064 0.793
9 O 0.688 0.446 0.791
10 O 0.312 0.554 0.209
11 O 0.080 0.686 0.777
12 O 0.920 0.314 0.223
13 Al 0.325 0.333 0.007
14 Al 0.675 0.667 0.993

Calculated values
formation energy from the elements: -2.0121 eV per atom
space-group type: P-1
mass density: 2.3 g/cm3
energy above the lowest structure with this stoichiometry: 32.2 meV/atom



No. 3
AlH3O3 after structural relaxation, computed with PBE-GGA.

Cell: 8.796 5.204 9.338 Å, 89.09 90.00 90.00°
Sites, in units of the cell vectors:
1 Al 0.331 0.476 0.993
2 Al 0.169 0.976 0.993
3 Al 0.169 0.516 0.494
4 Al 0.331 0.016 0.494
5 Al 0.669 0.524 0.007
6 Al 0.831 0.024 0.007
7 Al 0.669 0.984 0.506
8 Al 0.831 0.484 0.506
9 O 0.802 0.776 0.619
10 O 0.825 0.170 0.408
11 O 0.304 0.777 0.884
12 O 0.509 0.117 0.382
13 O 0.009 0.383 0.618
14 O 0.326 0.154 0.094
15 O 0.302 0.724 0.381
16 O 0.196 0.277 0.884
17 O 0.174 0.654 0.094
18 O 0.696 0.223 0.116
19 O 0.698 0.276 0.619
20 O 0.325 0.330 0.592
21 O 0.675 0.670 0.408
22 O 0.198 0.224 0.381
23 O 0.674 0.846 0.906
24 O 0.491 0.616 0.119
25 O 0.991 0.884 0.881
26 O 0.991 0.617 0.382
27 O 0.509 0.384 0.881
28 O 0.804 0.723 0.116
29 O 0.175 0.830 0.592
30 O 0.491 0.883 0.618
31 O 0.826 0.346 0.906
32 O 0.009 0.116 0.119
33 H 0.343 0.142 0.197
34 H 0.512 0.305 0.378
35 H 0.634 0.329 0.698
36 H 0.861 0.671 0.201
37 H 0.483 0.804 0.112
38 H 0.361 0.829 0.799
39 H 0.862 0.149 0.310
40 H 0.517 0.196 0.888
41 H 0.134 0.171 0.302
42 H 0.983 0.696 0.888
43 H 0.488 0.695 0.622
44 H 0.012 0.195 0.622
45 H 0.988 0.805 0.378
46 H 0.657 0.858 0.803
47 H 0.362 0.351 0.690
48 H 0.157 0.642 0.197
49 H 0.866 0.829 0.698
50 H 0.017 0.304 0.112
51 H 0.639 0.171 0.201
52 H 0.138 0.851 0.690
53 H 0.843 0.358 0.803
54 H 0.638 0.649 0.310
55 H 0.366 0.671 0.302
56 H 0.139 0.329 0.799

Calculated values
formation energy from the elements: -2.0209 eV per atom
space-group type: P2_1/c
mass density: 2.4 g/cm3
energy above the lowest structure with this stoichiometry: 23.4 meV/atom



No. 4
AlH3O3 after structural relaxation, computed with PBE-GGA.

Cell: 4.997 5.039 5.051 Å, 117.89 92.16 91.30°
Sites, in units of the cell vectors:
1 O 0.210 0.657 0.624
2 O 0.795 0.619 0.963
3 O 0.214 0.375 0.997
4 O 0.799 0.999 0.606
5 O 0.807 0.377 0.341
6 O 0.224 0.031 0.374
7 H 0.759 0.204 0.150
8 H 0.749 0.770 0.905
9 H 0.614 0.000 0.536
10 H 0.249 0.094 0.221
11 H 0.401 0.439 0.002
12 H 0.249 0.853 0.796
13 Al 0.008 0.343 0.652
14 Al 0.008 0.683 0.313

Calculated values
formation energy from the elements: -2.0075 eV per atom
space-group type: P1
mass density: 2.3 g/cm3
energy above the lowest structure with this stoichiometry: 36.8 meV/atom
maximum piezoelectric response: 1.01 C/m²



No. 5
AlH3O3 after structural relaxation, computed with PBE-GGA.

Cell: 5.182 8.597 9.499 Å, 89.04 89.92 89.89°
Sites, in units of the cell vectors:
1 H 0.803 0.193 0.713
2 H 0.100 0.055 0.402
3 H 0.345 0.475 0.101
4 H 0.676 0.313 0.206
5 H 0.284 0.301 0.796
6 H 0.126 0.487 0.227
7 H 0.183 0.966 0.889
8 H 0.318 0.524 0.387
9 H 0.193 0.816 0.230
10 H 0.389 0.993 0.709
11 H 0.143 0.047 0.121
12 H 0.920 0.924 0.597
13 H 0.697 0.686 0.271
14 H 0.815 0.982 0.122
15 H 0.848 0.063 0.883
16 H 0.895 0.515 0.706
17 H 0.639 0.445 0.384
18 H 0.382 0.418 0.615
19 H 0.170 0.178 0.278
20 H 0.824 0.824 0.789
21 H 0.322 0.681 0.801
22 H 0.512 0.605 0.613
23 H 0.680 0.519 0.906
24 H 0.614 0.013 0.288
25 O 0.358 0.673 0.610
26 O 0.288 0.307 0.899
27 O 0.155 0.480 0.117
28 O 0.367 0.990 0.896
29 O 0.793 0.174 0.888
30 O 0.320 0.676 0.906
31 O 0.174 0.162 0.120
32 O 0.685 0.677 0.382
33 O 0.135 0.496 0.379
34 O 0.838 0.841 0.893
35 O 0.304 0.315 0.604
36 O 0.632 0.013 0.392
37 O 0.669 0.316 0.101
38 O 0.867 0.504 0.894
39 O 0.193 0.822 0.119
40 O 0.813 0.189 0.608
41 O 0.372 0.000 0.606
42 O 0.710 0.682 0.112
43 O 0.159 0.167 0.388
44 O 0.830 0.824 0.604
45 O 0.873 0.513 0.602
46 O 0.191 0.824 0.389
47 O 0.683 0.332 0.389
48 O 0.629 0.998 0.114
49 Al 0.987 0.339 0.506
50 Al 0.510 0.166 0.507
51 Al 0.493 0.834 0.487
52 Al 0.509 0.818 0.015
53 Al 0.976 0.323 0.995
54 Al 0.996 0.685 0.484
55 Al 0.000 0.684 0.007
56 Al 0.485 0.162 0.001

Calculated values
formation energy from the elements: -1.9923 eV per atom
space-group type: P1
mass density: 2.4 g/cm3
energy above the lowest structure with this stoichiometry: 52.0 meV/atom



No. 6
AlH3O3 after structural relaxation, computed with PBE-GGA.

Cell: 5.136 8.864 9.556 Å, 83.06 89.08 89.32°
Sites, in units of the cell vectors:
1 O 0.178 0.678 0.108
2 O 0.866 0.492 0.610
3 O 0.299 0.823 0.883
4 O 0.668 0.800 0.108
5 O 0.203 0.209 0.386
6 O 0.694 0.330 0.396
7 O 0.305 0.308 0.605
8 O 0.616 0.483 0.107
9 O 0.783 0.318 0.883
10 O 0.155 0.313 0.096
11 O 0.293 0.197 0.887
12 O 0.137 0.518 0.387
13 O 0.662 0.173 0.101
14 O 0.307 0.680 0.609
15 O 0.194 0.832 0.385
16 O 0.637 0.020 0.390
17 O 0.802 0.180 0.617
18 O 0.808 0.689 0.893
19 O 0.361 0.990 0.602
20 O 0.816 0.806 0.609
21 O 0.857 0.011 0.891
22 O 0.691 0.702 0.394
23 O 0.107 0.986 0.103
24 O 0.356 0.515 0.884
25 H 0.328 0.514 0.386
26 H 0.161 0.307 0.200
27 H 0.843 0.403 0.815
28 H 0.763 0.223 0.706
29 H 0.634 0.131 0.200
30 H 0.914 0.898 0.617
31 H 0.864 0.032 0.789
32 H 0.153 0.124 0.337
33 H 0.826 0.011 0.394
34 H 0.365 0.971 0.704
35 H 0.352 0.602 0.687
36 H 0.133 0.608 0.192
37 H 0.074 0.960 0.203
38 H 0.806 0.475 0.101
39 H 0.696 0.726 0.290
40 H 0.574 0.896 0.112
41 H 0.264 0.781 0.795
42 H 0.676 0.489 0.606
43 H 0.795 0.721 0.790
44 H 0.242 0.794 0.296
45 H 0.286 0.275 0.708
46 H 0.166 0.525 0.888
47 H 0.394 0.102 0.890
48 H 0.661 0.379 0.300
49 Al 0.489 0.665 0.999
50 Al 0.983 0.831 0.995
51 Al 0.977 0.166 0.998
52 Al 0.499 0.174 0.503
53 Al 0.476 0.333 0.997
54 Al 0.502 0.836 0.499
55 Al 0.998 0.337 0.499
56 Al 0.002 0.668 0.499

Calculated values
formation energy from the elements: -2.0231 eV per atom
space-group type: P1
mass density: 2.4 g/cm3
energy above the lowest structure with this stoichiometry: 21.2 meV/atom



No. 7
AlH3O3 after structural relaxation, computed with PBE-GGA.

Cell: 8.677 4.789 5.144 Å, 83.75 90.00 90.00°
Sites, in units of the cell vectors:
1 O 0.328 0.211 0.338
2 O 0.699 0.233 0.240
3 O 0.801 0.233 0.740
4 O 0.010 0.212 0.343
5 O 0.828 0.789 0.162
6 O 0.490 0.212 0.843
7 O 0.510 0.788 0.157
8 O 0.172 0.211 0.838
9 O 0.672 0.789 0.662
10 O 0.199 0.767 0.260
11 O 0.990 0.788 0.657
12 O 0.301 0.767 0.760
13 H 0.200 0.412 0.801
14 H 0.535 0.775 0.343
15 H 0.800 0.588 0.199
16 H 0.900 0.311 0.788
17 H 0.100 0.689 0.212
18 H 0.300 0.412 0.301
19 H 0.965 0.775 0.843
20 H 0.700 0.588 0.699
21 H 0.465 0.225 0.657
22 H 0.600 0.311 0.288
23 H 0.400 0.689 0.712
24 H 0.035 0.225 0.157
25 Al 0.667 0.002 0.963
26 Al 0.833 0.002 0.463
27 Al 0.167 0.998 0.537
28 Al 0.333 0.998 0.037

Calculated values
formation energy from the elements: -2.0233 eV per atom
space-group type: P2_1/c
mass density: 2.4 g/cm3
energy above the lowest structure with this stoichiometry: 21.0 meV/atom



No. 8
AlH3O3 after structural relaxation, computed with PBE-GGA.

Cell: 5.156 8.858 9.550 Å, 91.35 91.16 90.46°
Sites, in units of the cell vectors:
1 H 0.737 0.490 0.665
2 H 0.422 0.078 0.897
3 H 0.750 0.021 0.820
4 H 0.818 0.534 0.105
5 H 0.677 0.135 0.198
6 H 0.823 0.644 0.800
7 H 0.324 0.471 0.398
8 H 0.827 0.024 0.403
9 H 0.240 0.989 0.658
10 H 0.331 0.467 0.796
11 H 0.279 0.772 0.783
12 H 0.947 0.405 0.895
13 H 0.320 0.963 0.107
14 H 0.273 0.259 0.715
15 H 0.666 0.630 0.302
16 H 0.656 0.845 0.192
17 H 0.872 0.861 0.685
18 H 0.786 0.228 0.716
19 H 0.172 0.365 0.197
20 H 0.156 0.664 0.197
21 H 0.654 0.340 0.309
22 H 0.153 0.150 0.309
23 H 0.432 0.592 0.602
24 H 0.160 0.861 0.306
25 Al 0.020 0.666 0.494
26 Al 0.970 0.829 0.991
27 Al 0.524 0.835 0.491
28 Al 0.025 0.163 0.010
29 Al 0.488 0.167 0.509
30 Al 0.989 0.330 0.511
31 Al 0.465 0.663 0.992
32 Al 0.526 0.330 0.011
33 O 0.371 0.480 0.896
34 O 0.232 0.299 0.122
35 O 0.718 0.690 0.385
36 O 0.149 0.669 0.095
37 O 0.732 0.197 0.121
38 O 0.799 0.196 0.618
39 O 0.659 0.327 0.410
40 O 0.222 0.797 0.381
41 O 0.133 0.983 0.109
42 O 0.649 0.828 0.091
43 O 0.766 0.694 0.885
44 O 0.161 0.170 0.409
45 O 0.270 0.796 0.884
46 O 0.135 0.484 0.398
47 O 0.300 0.306 0.624
48 O 0.637 0.011 0.389
49 O 0.844 0.819 0.592
50 O 0.887 0.007 0.889
51 O 0.406 0.993 0.612
52 O 0.341 0.177 0.904
53 O 0.339 0.687 0.601
54 O 0.842 0.313 0.903
55 O 0.900 0.508 0.619
56 O 0.630 0.514 0.113

Calculated values
formation energy from the elements: -2.0147 eV per atom
space-group type: P1
mass density: 2.4 g/cm3
energy above the lowest structure with this stoichiometry: 29.6 meV/atom



No. 9
AlH3O3 after structural relaxation, computed with PBE-GGA.

Cell: 5.113 8.751 12.827 Å, 49.05 90.00 90.00°
Sites, in units of the cell vectors:
1 O 0.720 0.408 0.894
2 O 0.847 0.778 0.396
3 O 0.653 0.778 0.896
4 O 0.367 0.609 0.395
5 O 0.645 0.069 0.604
6 O 0.355 0.931 0.396
7 O 0.153 0.222 0.604
8 O 0.220 0.295 0.887
9 O 0.633 0.391 0.605
10 O 0.220 0.592 0.606
11 O 0.855 0.069 0.104
12 O 0.780 0.705 0.113
13 O 0.133 0.609 0.895
14 O 0.720 0.705 0.613
15 O 0.866 0.091 0.393
16 O 0.280 0.295 0.387
17 O 0.347 0.222 0.104
18 O 0.134 0.909 0.607
19 O 0.145 0.931 0.896
20 O 0.280 0.592 0.106
21 O 0.780 0.408 0.394
22 O 0.867 0.391 0.105
23 O 0.366 0.909 0.107
24 O 0.634 0.091 0.893
25 Al 0.525 0.663 0.502
26 Al 0.975 0.663 0.002
27 Al 0.475 0.337 0.498
28 Al 0.533 0.169 0.998
29 Al 0.467 0.831 0.002
30 Al 0.033 0.831 0.502
31 Al 0.025 0.337 0.998
32 Al 0.967 0.169 0.498
33 H 0.840 0.982 0.206
34 H 0.945 0.680 0.398
35 H 0.887 0.292 0.207
36 H 0.660 0.982 0.706
37 H 0.859 0.794 0.124
38 H 0.319 0.935 0.612
39 H 0.113 0.708 0.793
40 H 0.387 0.708 0.293
41 H 0.641 0.794 0.624
42 H 0.681 0.065 0.388
43 H 0.055 0.320 0.602
44 H 0.160 0.018 0.794
45 H 0.359 0.206 0.376
46 H 0.141 0.206 0.876
47 H 0.613 0.292 0.707
48 H 0.776 0.503 0.292
49 H 0.340 0.018 0.294
50 H 0.724 0.503 0.792
51 H 0.819 0.065 0.888
52 H 0.224 0.497 0.708
53 H 0.445 0.320 0.102
54 H 0.181 0.935 0.112
55 H 0.555 0.680 0.898
56 H 0.276 0.497 0.208

Calculated values
formation energy from the elements: -2.0443 eV per atom
space-group type: P2_1/c
mass density: 2.4 g/cm3
energy above the lowest structure with this stoichiometry: 0.0 meV/atom